No. 1
DFT (GGA-PBE) results for a relaxed structure of KDy3F10.

abc: 8.2401 8.2401 8.2401
angles: 60.00 60.00 60.00
Fractional positions:
F (0.5000, 0.8304, 0.1696)
F (0.8304, 0.5000, 0.5000)
F (0.8880, 0.8880, 0.3361)
F (0.8304, 0.5000, 0.1696)
F (0.5000, 0.1696, 0.8304)
F (0.8880, 0.8880, 0.8880)
F (0.6639, 0.1120, 0.1120)
F (0.1120, 0.1120, 0.6639)
F (0.5000, 0.5000, 0.8304)
F (0.5000, 0.1696, 0.5000)
F (0.1696, 0.5000, 0.8304)
F (0.8880, 0.3361, 0.8880)
F (0.5000, 0.5000, 0.1696)
F (0.1696, 0.8304, 0.5000)
F (0.3361, 0.8880, 0.8880)
F (0.5000, 0.8304, 0.5000)
F (0.1696, 0.5000, 0.5000)
F (0.1120, 0.1120, 0.1120)
F (0.8304, 0.1696, 0.5000)
F (0.1120, 0.6639, 0.1120)
Dy (0.7595, 0.2405, 0.7595)
Dy (0.2405, 0.7595, 0.7595)
Dy (0.2405, 0.2405, 0.7595)
Dy (0.7595, 0.7595, 0.2405)
Dy (0.2405, 0.7595, 0.2405)
Dy (0.7595, 0.2405, 0.2405)
K (0.2500, 0.2500, 0.2500)
K (0.7500, 0.7500, 0.7500)

crystal system	cubic
electronic total energy	-6.401	eV per atom
space group	Fm-3m

No. 2
DFT (GGA-PBE) results for a relaxed structure of K3DyF6.

abc: 6.8277 6.8277 6.8277
angles: 95.40 116.93 116.93
Fractional positions:
Dy (0.0000, 0.0000, 0.0000)
K (0.5000, 0.7500, 0.2500)
K (0.5000, 0.2500, 0.7500)
K (0.0000, 0.5000, 0.5000)
F (0.0000, 0.7615, 0.7615)
F (0.0000, 0.2385, 0.2385)
F (0.3049, 0.0000, 0.3049)
F (0.6951, 0.6951, 0.0000)
F (0.6951, 0.0000, 0.6951)
F (0.3049, 0.3049, 0.0000)

crystal system	tetragonal
electronic total energy	-5.166	eV per atom
space group	I4/mmm

No. 3
DFT (GGA-PBE) results for a relaxed structure of KLiDyF5.

abc: 6.5309 6.3733 11.9040
angles: 90.00 90.00 113.85
Fractional positions:
Dy (0.6819, 0.8198, 0.9980)
Dy (0.3181, 0.6802, 0.4980)
Dy (0.3181, 0.1802, 0.0020)
Dy (0.6819, 0.3198, 0.5020)
F (0.6656, 0.9534, 0.5316)
F (0.2872, 0.7784, 0.6742)
F (0.9558, 0.1727, 0.9933)
F (0.0442, 0.8273, 0.0067)
F (0.7199, 0.2771, 0.6946)
F (0.3344, 0.0466, 0.4684)
F (0.7199, 0.7771, 0.8054)
F (0.7128, 0.7216, 0.1742)
F (0.9558, 0.6727, 0.5067)
F (0.5358, 0.0337, 0.1043)
F (0.0442, 0.3273, 0.4933)
F (0.4642, 0.9663, 0.8957)
F (0.2801, 0.7229, 0.3054)
F (0.4642, 0.4663, 0.6043)
F (0.3344, 0.5466, 0.0316)
F (0.7128, 0.2216, 0.3258)
F (0.6656, 0.4534, 0.9684)
F (0.2872, 0.2784, 0.8258)
F (0.5358, 0.5337, 0.3957)
F (0.2801, 0.2229, 0.1946)
Li (0.4421, 0.0379, 0.2541)
Li (0.5579, 0.9621, 0.7459)
Li (0.5579, 0.4621, 0.7541)
Li (0.4421, 0.5379, 0.2459)
K (0.0529, 0.0367, 0.6502)
K (0.0529, 0.5367, 0.8498)
K (0.9471, 0.4633, 0.1502)
K (0.9471, 0.9633, 0.3498)

crystal system	monoclinic
electronic total energy	-5.674	eV per atom
space group	P2_1/c

No. 4
DFT (GGA-PBE) results for a relaxed structure of LiDy2O2F2.

abc: 3.5175 3.5175 8.8677
angles: 78.56 78.56 60.00
Fractional positions:
O (0.3821, 0.3821, 0.8536)
O (0.6179, 0.6179, 0.1464)
Dy (0.2419, 0.2419, 0.2743)
Dy (0.7581, 0.7581, 0.7257)
Li (0.0000, 0.0000, 0.0000)
F (0.8645, 0.8645, 0.4064)
F (0.1355, 0.1355, 0.5936)

crystal system	trigonal
polymorph energy (0 for the lowest one)	179.4	meV/atom
space group	R-3m

No. 5
DFT (GGA-PBE) results for a relaxed structure of LiDy2O2F2.

abc: 3.9444 3.9444 6.7377
angles: 72.98 72.98 60.00
Fractional positions:
Dy (0.7317, 0.7317, 0.8049)
Dy (0.2683, 0.2683, 0.1951)
O (0.6072, 0.6072, 0.1783)
O (0.3928, 0.3928, 0.8217)
Li (0.5000, 0.5000, 0.5000)
F (0.1383, 0.1383, 0.5852)
F (0.8617, 0.8617, 0.4148)

crystal system	trigonal
polymorph energy (0 for the lowest one)	0.0	meV/atom
space group	R-3m

No. 6
DFT (GGA-PBE) results for a relaxed structure of Dy3Si3O10F.

abc: 11.2689 7.3910 12.0335
angles: 59.72 90.00 90.00
Fractional positions:
O (0.8958, 0.5050, 0.8081)
O (0.3190, 0.2869, 0.9825)
O (0.8225, 0.8852, 0.2691)
O (0.6810, 0.7131, 0.0175)
O (0.1775, 0.1148, 0.7309)
O (0.8566, 0.4874, 0.3026)
O (0.0892, 0.6578, 0.8696)
O (0.0244, 0.6491, 0.3631)
O (0.0496, 0.1488, 0.8916)
O (0.1042, 0.4950, 0.1919)
O (0.6091, 0.8011, 0.3777)
O (0.5225, 0.8958, 0.1383)
O (0.5496, 0.8512, 0.6084)
O (0.5244, 0.3509, 0.1369)
O (0.9108, 0.3422, 0.1304)
O (0.3566, 0.5126, 0.1974)
O (0.8190, 0.7131, 0.5175)
O (0.4504, 0.1488, 0.3916)
O (0.2262, 0.8970, 0.1207)
O (0.2738, 0.8970, 0.6207)
O (0.1434, 0.5126, 0.6974)
O (0.1810, 0.2869, 0.4825)
O (0.6042, 0.5050, 0.3081)
O (0.7738, 0.1030, 0.8793)
O (0.1091, 0.1989, 0.1223)
O (0.3958, 0.4950, 0.6919)
O (0.4756, 0.6491, 0.8631)
O (0.9756, 0.3509, 0.6369)
O (0.3225, 0.1148, 0.2309)
O (0.6434, 0.4874, 0.8026)
O (0.9504, 0.8512, 0.1084)
O (0.9775, 0.8958, 0.6383)
O (0.0225, 0.1042, 0.3617)
O (0.4108, 0.6578, 0.3696)
O (0.5892, 0.3422, 0.6304)
O (0.7262, 0.1030, 0.3793)
O (0.3909, 0.1989, 0.6223)
O (0.8909, 0.8011, 0.8777)
O (0.6775, 0.8852, 0.7691)
O (0.4775, 0.1042, 0.8617)
Dy (0.0309, 0.7437, 0.5185)
Dy (0.9018, 0.1947, 0.0034)
Dy (0.4018, 0.8053, 0.4966)
Dy (0.2298, 0.5953, 0.3111)
Dy (0.2702, 0.5953, 0.8111)
Dy (0.7298, 0.4047, 0.1889)
Dy (0.7702, 0.4047, 0.6889)
Dy (0.9691, 0.2563, 0.4815)
Dy (0.0982, 0.8053, 0.9966)
Dy (0.5982, 0.1947, 0.5034)
Dy (0.5309, 0.2563, 0.9815)
Dy (0.4691, 0.7437, 0.0185)
Si (0.9624, 0.7141, 0.7913)
Si (0.5860, 0.7155, 0.7595)
Si (0.2551, 0.1235, 0.6106)
Si (0.9140, 0.7155, 0.2595)
Si (0.4624, 0.2859, 0.7087)
Si (0.4140, 0.2845, 0.2405)
Si (0.5376, 0.7141, 0.2913)
Si (0.7449, 0.8765, 0.3894)
Si (0.7551, 0.8765, 0.8894)
Si (0.0376, 0.2859, 0.2087)
Si (0.0860, 0.2845, 0.7405)
Si (0.2449, 0.1235, 0.1106)
F (0.7852, 0.2447, 0.5593)
F (0.2852, 0.7553, 0.9407)
F (0.2148, 0.7553, 0.4407)
F (0.7148, 0.2447, 0.0593)

crystal system	monoclinic
electronic total energy	-8.083	eV per atom
space group	P2_1/c